{"formula": "La2S2O", "functional": "r²SCAN", "state": "optimized geometry", "e_form_kj_per_mol_atoms": -289.4, "relative_energy_mev_per_atom": 8, "crystal_system": "orthorhombic", "lattice": [[-1.7621, -1.5454, 3.3407], [-2.6269, -5.3855, -3.8769], [13.1478, -8.5562, 2.9771]], "species": ["S", "La", "La", "La", "La", "O", "O", "S", "S", "S", "S", "S", "O", "S", "La", "La", "S", "O", "La", "La"], "frac_coords": [[0.2500, 0.5142, 0.1066], [0.7500, 0.2914, 0.5387], [0.2500, 0.7914, 0.9613], [0.7500, 0.7408, 0.6730], [0.7500, 0.2086, 0.0387], [0.2500, 0.3666, 0.4669], [0.7500, 0.8666, 0.0331], [0.2500, 0.0421, 0.1737], [0.7500, 0.4858, 0.8934], [0.7500, 0.9579, 0.8263], [0.7500, 0.5421, 0.3263], [0.2500, 0.4579, 0.6737], [0.7500, 0.6334, 0.5331], [0.2500, 0.9858, 0.6066], [0.2500, 0.2408, 0.8270], [0.2500, 0.7086, 0.4613], [0.7500, 0.0142, 0.3934], [0.2500, 0.1334, 0.9669], [0.7500, 0.7592, 0.1730], [0.2500, 0.2592, 0.3270]]}